# VCrP2H2O10

VCrP2H2O10 after structural relaxation (PBE with a Hubbard U, the Materials Project database).

The uncorrected energy is -6.966 eV/atom. For the energy of formation, the calculation gives -2.262 eV per atom.

Cell lengths 6.7466, 7.3868, 8.0005 Å; angles 86.56, 88.52, 63.07 degrees
Last column: nearest neighbours and their distance in Å.
Element x y z (fractional)
1 V 0.2499 0.9997 0.2500  6 O 1.87-1.93
2 V 0.7501 0.0003 0.7500  6 O 1.87-1.93
3 Cr 0.2499 0.4998 0.2500  6 O 1.98-2.06
4 Cr 0.7501 0.5002 0.7500  6 O 1.98-2.06
5 P 0.2418 0.7190 0.5805  4 O 1.51-1.60
6 P 0.2583 0.2810 0.9197  4 O 1.51-1.60
7 P 0.7417 0.7190 0.0803  4 O 1.51-1.60
8 P 0.7582 0.2810 0.4195  4 O 1.51-1.60
9 H 0.0716 0.8354 0.0876  1 O 0.99
10 H 0.4282 0.1638 0.4126  1 O 0.99
11 H 0.5718 0.8362 0.5874  1 O 0.99
12 H 0.9284 0.1646 0.9124  1 O 0.99
13 O 0.0517 0.8617 0.6976  1 P 1.57
14 O 0.0616 0.4229 0.8119  1 P 1.51
15 O 0.1480 0.6150 0.4717  1 P 1.51
16 O 0.1851 0.1355 0.0322  1 P 1.60
17 O 0.1997 0.7851 0.1654  1 H 0.99
18 O 0.3002 0.2137 0.3351  1 H 0.99
19 O 0.3149 0.8643 0.4677  1 P 1.60
20 O 0.3520 0.3848 0.0286  1 P 1.51
21 O 0.4385 0.5772 0.6881  1 P 1.51
22 O 0.4483 0.1383 0.8023  1 P 1.57
23 O 0.5517 0.8617 0.1977  1 P 1.57
24 O 0.5615 0.4228 0.3119  1 P 1.51
25 O 0.6480 0.6152 0.9714  1 P 1.51
26 O 0.6851 0.1357 0.5323  1 P 1.60
27 O 0.6998 0.7863 0.6649  1 H 0.99
28 O 0.8003 0.2149 0.8346  1 H 0.99
29 O 0.8149 0.8645 0.9678  1 P 1.60
30 O 0.8520 0.3850 0.5283  1 P 1.51
31 O 0.9384 0.5771 0.1881  1 P 1.51
32 O 0.9483 0.1383 0.3024  1 P 1.57



# CaCo2Te3Cl2O8

CaCo2Te3Cl2O8 after structural relaxation (PBE with a Hubbard U, the Materials Project database).

The uncorrected energy is -5.432 eV/atom. For the energy of formation, the calculation gives -1.672 eV per atom.

Cell lengths 6.5941, 9.2915, 19.1702 Å; angles 90.00, 106.39, 90.00 degrees
Last column: nearest neighbours and their distance in Å.
Element x y z (fractional)
1 Ca 0.0097 0.1137 0.2690  4 O 2.34-2.38
2 Ca 0.0097 0.3863 0.7690  4 O 2.34-2.38
3 Ca 0.9903 0.6137 0.2310  4 O 2.34-2.38
4 Ca 0.9903 0.8863 0.7310  4 O 2.34-2.38
5 Co 0.3083 0.5424 0.6800  5 O 2.04-2.21
6 Co 0.3083 0.9576 0.1800  5 O 2.04-2.21
7 Co 0.4361 0.7438 0.8232  5 O 2.03-2.19
8 Co 0.4361 0.7562 0.3232  5 O 2.03-2.19
9 Co 0.5639 0.2438 0.6768  5 O 2.03-2.19
10 Co 0.5639 0.2562 0.1768  5 O 2.03-2.19
11 Co 0.6917 0.0424 0.8200  5 O 2.04-2.21
12 Co 0.6917 0.4576 0.3200  5 O 2.04-2.21
13 Te 0.0425 0.2037 0.6086  3 O 1.90-1.94
14 Te 0.0425 0.2963 0.1086  3 O 1.90-1.94
15 Te 0.2770 0.0809 0.8883  3 O 1.90-1.94
16 Te 0.2770 0.4191 0.3883  3 O 1.90-1.94
17 Te 0.4084 0.6080 0.1389  2 O 1.91-1.92
18 Te 0.4084 0.8920 0.6389  2 O 1.91-1.92
19 Te 0.5916 0.1080 0.3611  2 O 1.91-1.92
20 Te 0.5916 0.3920 0.8611  2 O 1.91-1.92
21 Te 0.7230 0.5809 0.6117  3 O 1.90-1.94
22 Te 0.7230 0.9191 0.1117  3 O 1.90-1.94
23 Te 0.9575 0.7037 0.8914  3 O 1.90-1.94
24 Te 0.9575 0.7963 0.3914  3 O 1.90-1.94
25 Cl 0.2435 0.6094 0.5495  1 Co 2.50
26 Cl 0.2435 0.8906 0.0495  1 Co 2.50
27 Cl 0.4041 0.1755 0.5461  1 Co 2.51
28 Cl 0.4041 0.3245 0.0461  1 Co 2.51
29 Cl 0.5959 0.6755 0.9539  1 Co 2.51
30 Cl 0.5959 0.8245 0.4539  1 Co 2.51
31 Cl 0.7565 0.1094 0.9505  1 Co 2.50
32 Cl 0.7565 0.3906 0.4505  1 Co 2.50
33 O 0.0031 0.0571 0.8229  1 Te 1.90, 1 Co 2.04
34 O 0.0031 0.4429 0.3229  1 Te 1.90, 1 Co 2.04
35 O 0.1254 0.0126 0.6460  1 Te 1.94
36 O 0.1254 0.4874 0.1460  1 Te 1.94
37 O 0.1351 0.7368 0.8305  1 Te 1.90, 1 Co 2.03
38 O 0.1351 0.7632 0.3305  1 Te 1.90, 1 Co 2.03
39 O 0.2645 0.1933 0.1751  1 Te 1.91, 1 Co 2.05
40 O 0.2645 0.3067 0.6751  1 Te 1.91, 1 Co 2.05
41 O 0.3042 0.2289 0.3507  2 Te 1.94-2.16
42 O 0.3042 0.2711 0.8507  2 Te 1.94-2.16
43 O 0.3267 0.7318 0.2064  1 Te 1.92
44 O 0.3267 0.7682 0.7064  1 Te 1.92
45 O 0.3988 0.5219 0.3243  1 Te 1.90, 1 Co 2.05
46 O 0.3988 0.9781 0.8243  1 Te 1.90, 1 Co 2.05
47 O 0.4038 0.5202 0.7954  1 Te 1.91, 2 Co 2.13-2.14
48 O 0.4038 0.9798 0.2954  1 Te 1.91, 2 Co 2.13-2.14
49 O 0.5962 0.0202 0.7046  1 Te 1.91, 2 Co 2.13-2.14
50 O 0.5962 0.4798 0.2046  1 Te 1.91, 2 Co 2.13-2.14
51 O 0.6012 0.0219 0.1757  1 Te 1.90, 1 Co 2.05
52 O 0.6012 0.4781 0.6757  1 Te 1.90, 1 Co 2.05
53 O 0.6733 0.2318 0.2936  1 Te 1.92
54 O 0.6733 0.2682 0.7936  1 Te 1.92
55 O 0.6958 0.7289 0.1493  2 Te 1.94-2.16
56 O 0.6958 0.7711 0.6493  2 Te 1.94-2.16
57 O 0.7355 0.6933 0.3249  1 Te 1.91, 1 Co 2.05
58 O 0.7355 0.8067 0.8249  1 Te 1.91, 1 Co 2.05
59 O 0.8649 0.2368 0.6695  1 Te 1.90, 1 Co 2.03
60 O 0.8649 0.2632 0.1695  1 Te 1.90, 1 Co 2.03
61 O 0.8746 0.5126 0.8540  1 Te 1.94
62 O 0.8746 0.9874 0.3540  1 Te 1.94
63 O 0.9969 0.5571 0.6771  1 Te 1.90, 1 Co 2.04
64 O 0.9969 0.9429 0.1771  1 Te 1.90, 1 Co 2.04



# NaLi2FePCO7

NaLi2FePCO7 after structural relaxation (PBE with a Hubbard U, the Materials Project database).

The uncorrected energy is -6.605 eV/atom. For the energy of formation, the calculation gives -2.311 eV per atom.

Cell lengths 6.5814, 8.6332, 10.1607 Å; angles 92.58, 90.27, 90.64 degrees
Last column: nearest neighbours and their distance in Å.
Element x y z (fractional)
1 Na 0.0000 0.0000 0.0000  5 O 2.29-2.48
2 Na 0.0009 0.9986 0.4960  5 O 2.30-2.47
3 Na 0.2627 0.8271 0.7456  3 O 2.20-2.37
4 Na 0.5027 0.4862 0.2497  5 O 2.30-2.47
5 Li 0.2548 0.8240 0.2487  2 O 2.03-2.17
6 Li 0.4788 0.0197 0.0085  4 O 1.99-2.12
7 Li 0.4841 0.0166 0.5004  4 O 2.05-2.22
8 Li 0.5201 0.4713 0.7457  3 O 2.08-2.21
9 Li 0.7442 0.6555 0.9978  3 O 2.04-2.22
10 Li 0.7491 0.6525 0.5004  3 O 2.03-2.20
11 Li 0.9792 0.4694 0.7440  4 O 2.13-2.21
12 Li 0.9879 0.4737 0.2460  4 O 2.05-2.23
13 Fe 0.2465 0.4001 0.0161  6 O 2.09-2.30
14 Fe 0.2509 0.3965 0.5174  6 O 2.09-2.32
15 Fe 0.7458 0.0885 0.2323  5 O 2.09-2.19
16 Fe 0.7475 0.0892 0.7321  5 O 2.07-2.24
17 P 0.2492 0.1504 0.2710  4 O 1.55-1.56
18 P 0.2562 0.1617 0.7721  4 O 1.55-1.56
19 P 0.7453 0.3363 0.9770  4 O 1.55-1.57
20 P 0.7517 0.3327 0.4787  4 O 1.55-1.56
21 C 0.2573 0.6937 0.4783  3 O 1.30
22 C 0.2595 0.7012 0.9897  3 O 1.29-1.31
23 C 0.7490 0.7809 0.7622  3 O 1.30
24 C 0.7567 0.7855 0.2652  3 O 1.30-1.31
25 O 0.0600 0.0448 0.2386  1 P 1.56
26 O 0.0610 0.0667 0.7321  1 P 1.56
27 O 0.2308 0.3117 0.2119  1 P 1.55
28 O 0.2375 0.5991 0.3755  1 C 1.30
29 O 0.2411 0.6032 0.8884  1 C 1.31
30 O 0.2557 0.3278 0.7193  1 P 1.55
31 O 0.2563 0.6371 0.5944  1 C 1.30
32 O 0.2561 0.6489 0.1081  1 C 1.30
33 O 0.2734 0.1746 0.9253  1 P 1.56
34 O 0.2742 0.1721 0.4239  1 P 1.56
35 O 0.2775 0.8412 0.4623  1 C 1.30
36 O 0.2798 0.8476 0.9727  1 C 1.29
37 O 0.4316 0.0561 0.2133  1 P 1.56
38 O 0.4354 0.0642 0.7140  1 P 1.56
39 O 0.5616 0.4403 0.0167  1 P 1.56
40 O 0.5673 0.4385 0.5158  1 P 1.56
41 O 0.7319 0.1698 0.5348  1 P 1.55
42 O 0.7320 0.1730 0.0341  1 P 1.55
43 O 0.7326 0.8907 0.3601  1 C 1.31
44 O 0.7421 0.8838 0.8598  1 C 1.30
45 O 0.7487 0.6345 0.7872  1 C 1.30
46 O 0.7539 0.8262 0.1436  1 C 1.30
47 O 0.7547 0.3180 0.8230  1 P 1.57
48 O 0.7556 0.8268 0.6419  1 C 1.30
49 O 0.7713 0.3138 0.3257  1 P 1.56
50 O 0.7822 0.6427 0.2957  1 C 1.30
51 O 0.9328 0.4313 0.0310  1 P 1.56
52 O 0.9376 0.4257 0.5377  1 P 1.56



# Li5Cu2Ni3O10

Li5Cu2Ni3O10 after structural relaxation (PBE with a Hubbard U, the Materials Project database).

The uncorrected energy is -4.951 eV/atom. For the energy of formation, the calculation gives -1.448 eV per atom.

Cell lengths 5.0340, 5.1304, 7.6601 Å; angles 106.90, 102.90, 101.22 degrees
Last column: nearest neighbours and their distance in Å.
Element x y z (fractional)
1 Li 0.0000 0.0000 0.0000  6 O 2.03-2.19
2 Li 0.1152 0.2124 0.7157  5 O 2.04-2.20
3 Li 0.2954 0.5994 0.0957  6 O 2.04-2.18
4 Li 0.7046 0.4006 0.9043  6 O 2.04-2.18
5 Li 0.8848 0.7876 0.2843  5 O 2.04-2.20
6 Cu 0.4020 0.8020 0.8038  4 O 1.87-1.93
7 Cu 0.5980 0.1980 0.1962  4 O 1.87-1.93
8 Ni 0.1982 0.3969 0.3975  6 O 2.00-2.15
9 Ni 0.5000 0.0000 0.5000  6 O 1.96-2.04
10 Ni 0.8018 0.6031 0.6025  6 O 2.00-2.15
11 O 0.0704 0.6052 0.8382  1 Cu 1.89, 1 Ni 2.00, 2 Li 2.04-2.06
12 O 0.1685 0.7981 0.5678  1 Cu 1.92, 3 Ni 2.03-2.15
13 O 0.2790 0.0190 0.2604  1 Cu 1.93, 2 Ni 1.96-2.08, 1 Li 2.13
14 O 0.3672 0.2020 0.9700  1 Cu 1.87, 2 Li 2.03-2.04
15 O 0.4551 0.3797 0.6369  3 Ni 2.01-2.03, 2 Li 2.05-2.11
16 O 0.5449 0.6203 0.3631  3 Ni 2.01-2.03, 2 Li 2.05-2.11
17 O 0.6328 0.7980 0.0300  1 Cu 1.87, 2 Li 2.03-2.04
18 O 0.7210 0.9810 0.7396  1 Cu 1.93, 2 Ni 1.96-2.08, 1 Li 2.13
19 O 0.8315 0.2019 0.4322  1 Cu 1.92, 3 Ni 2.03-2.15
20 O 0.9296 0.3948 0.1618  1 Cu 1.89, 1 Ni 2.00, 2 Li 2.04-2.06